Entry 1:
# LiOsN2 (PBE, optimized geometry)
# energy above the lowest structure with this stoichiometry	0.023	eV per atom
# energy of formation	-0.12	eV/atom
# final energy	-7.395	eV/atom
data_LiOsN2
_symmetry_space_group_name_H-M 'P n a 21'
_symmetry_Int_Tables_number 33
_symmetry_space_group_name_Hall 'P 2c -2n'
_cell_length_a 5.691
_cell_length_b 6.524
_cell_length_c 5.444
_cell_angle_alpha 90.00
_cell_angle_beta 90.00
_cell_angle_gamma 90.00
loop_
_atom_site_label
_atom_site_fract_x
_atom_site_fract_y
_atom_site_fract_z
Li1 0.081 0.123 0.000
Os1 0.071 0.625 0.001
N1 0.067 0.607 0.348
N2 0.111 0.144 0.399


Entry 2:
# LiOsN2 (PBE, optimized geometry)
# energy above the lowest structure with this stoichiometry	0.000	eV per atom
# energy of formation	-0.15	eV/atom
# final energy	-7.418	eV/atom
data_LiOsN2
_symmetry_space_group_name_H-M 'I -4 2 d'
_symmetry_Int_Tables_number 122
_symmetry_space_group_name_Hall 'I -4 2bw'
_cell_length_a 4.661
_cell_length_b 4.661
_cell_length_c 9.265
_cell_angle_alpha 90.00
_cell_angle_beta 90.00
_cell_angle_gamma 90.00
loop_
_atom_site_label
_atom_site_fract_x
_atom_site_fract_y
_atom_site_fract_z
Li1 0.000 0.000 0.000
Os1 0.000 0.000 0.500
N1 0.205 0.750 0.625


Entry 3:
# Li2OsN2 (PBE, optimized geometry)
# energy of formation	-0.14	eV/atom
# final energy	-6.341	eV/atom
data_Li2OsN2
_symmetry_space_group_name_H-M 'C 1 2/m 1'
_symmetry_Int_Tables_number 12
_symmetry_space_group_name_Hall '-C 2y'
_cell_length_a 5.839
_cell_length_b 2.977
_cell_length_c 5.234
_cell_angle_alpha 90.00
_cell_angle_beta 91.28
_cell_angle_gamma 90.00
loop_
_atom_site_label
_atom_site_fract_x
_atom_site_fract_y
_atom_site_fract_z
Li1 0.154 0.000 0.364
Os1 0.000 0.500 0.000
N1 0.177 0.000 0.790


Q: Which value of energy of formation does entry 2 give?
A: -0.15 eV/atom